DFT (PBE) results for a relaxed Lu2Be2GeO7 crystal.

Cell lengths 7.3458, 7.3458, 4.7608 Å; angles 90.00, 90.00, 90.00 degrees
Last column: nearest neighbours and their distance in Å.
Fractional positions:
Lu 0.1579 0.3421 0.5063  6 O 2.21-2.43
Lu 0.8421 0.6579 0.5063  6 O 2.21-2.43
Lu 0.6579 0.1579 0.4937  6 O 2.21-2.43
Lu 0.3421 0.8421 0.4937  6 O 2.21-2.43
Be 0.6358 0.8642 0.9471  4 O 1.57-1.69
Be 0.3642 0.1358 0.9471  4 O 1.57-1.69
Be 0.1358 0.6358 0.0529  4 O 1.57-1.69
Be 0.8642 0.3642 0.0529  4 O 1.57-1.69
Ge 0.0000 0.0000 0.0000  4 O 1.76
Ge 0.5000 0.5000 0.0000  4 O 1.76
O 0.0000 0.5000 0.1964  2 Be 1.57
O 0.5000 0.0000 0.8036  2 Be 1.57
O 0.6425 0.8575 0.2805  1 Be 1.59
O 0.3575 0.1425 0.2805  1 Be 1.59
O 0.1425 0.6425 0.7195  1 Be 1.59
O 0.8575 0.3575 0.7195  1 Be 1.59
O 0.0826 0.8295 0.2250  1 Be 1.69, 1 Ge 1.76
O 0.9174 0.1705 0.2250  1 Be 1.69, 1 Ge 1.76
O 0.1705 0.0826 0.7750  1 Be 1.69, 1 Ge 1.76
O 0.4174 0.3295 0.7750  1 Be 1.69, 1 Ge 1.76
O 0.8295 0.9174 0.7750  1 Be 1.69, 1 Ge 1.76
O 0.5826 0.6705 0.7750  1 Be 1.69, 1 Ge 1.76
O 0.3295 0.5826 0.2250  1 Be 1.69, 1 Ge 1.76
O 0.6705 0.4174 0.2250  1 Be 1.69, 1 Ge 1.76

Calculated values
MP2020-corrected energy: -190.55 eV/cell
Formation enthalpy at 0 K: -3.291 eV per atom
VASP energy: -180.9 eV per cell

***

DFT (PBE) results for a relaxed Na2BeGeO4 crystal.

Cell lengths 5.0867, 7.2837, 10.2529 Å; angles 89.57, 90.00, 90.00 degrees
Last column: nearest neighbours and their distance in Å.
Fractional positions:
Na 0.2072 0.9991 0.8915  4 O 2.36-2.42
Na 0.7072 0.0009 0.6085  4 O 2.36-2.42
Na 0.7928 0.0009 0.1085  4 O 2.36-2.42
Na 0.2928 0.9991 0.3915  4 O 2.36-2.42
Na 0.3187 0.2618 0.1389  4 O 2.31-2.54
Na 0.8187 0.7382 0.3611  4 O 2.31-2.54
Na 0.6813 0.7382 0.8611  4 O 2.31-2.54
Na 0.1813 0.2618 0.6389  4 O 2.31-2.54
Be 0.6565 0.5005 0.5871  4 O 1.62-1.69
Be 0.3435 0.4995 0.4129  4 O 1.62-1.69
Be 0.8435 0.5005 0.0871  4 O 1.62-1.69
Be 0.1565 0.4995 0.9129  4 O 1.62-1.69
Ge 0.1555 0.7203 0.6594  4 O 1.75-1.79
Ge 0.6555 0.2797 0.8406  4 O 1.75-1.79
Ge 0.8445 0.2797 0.3406  4 O 1.75-1.79
Ge 0.3445 0.7203 0.1594  4 O 1.75-1.79
O 0.1679 0.5466 0.0737  2 Be 1.69, 1 Ge 1.79
O 0.6679 0.4534 0.4263  2 Be 1.69, 1 Ge 1.79
O 0.8321 0.4534 0.9263  2 Be 1.69, 1 Ge 1.79
O 0.3321 0.5466 0.5737  2 Be 1.69, 1 Ge 1.79
O 0.3142 0.3135 0.8746  1 Be 1.63, 1 Ge 1.79
O 0.1858 0.3135 0.3746  1 Be 1.63, 1 Ge 1.79
O 0.8142 0.6865 0.6254  1 Be 1.63, 1 Ge 1.79
O 0.6858 0.6865 0.1254  1 Be 1.63, 1 Ge 1.79
O 0.2833 0.6846 0.3294  1 Be 1.62, 1 Ge 1.79
O 0.7833 0.3154 0.1706  1 Be 1.62, 1 Ge 1.79
O 0.7167 0.3154 0.6706  1 Be 1.62, 1 Ge 1.79
O 0.2167 0.6846 0.8294  1 Be 1.62, 1 Ge 1.79
O 0.2378 0.9480 0.6219  1 Ge 1.75
O 0.7378 0.0520 0.8781  1 Ge 1.75
O 0.7622 0.0520 0.3781  1 Ge 1.75
O 0.2622 0.9480 0.1219  1 Ge 1.75

Calculated values
MP2020-corrected energy: -199.29 eV/cell
Formation enthalpy at 0 K: -2.378 eV per atom
VASP energy: -188.3 eV per cell

***

DFT (PBE) results for a relaxed Na2BeGe2O6 crystal.

Cell lengths 15.4687, 11.5325, 11.4952 Å; angles 84.40, 47.90, 47.70 degrees
Last column: nearest neighbours and their distance in Å.
Fractional positions:
Na 0.7578 0.7578 0.2422  4 O 2.30-2.44
Na 0.0078 0.0078 0.4922  4 O 2.30-2.44
Na 0.3907 0.3907 0.6093  6 O 2.51-2.63
Na 0.6407 0.6407 0.8593  6 O 2.51-2.63
Na 0.1136 0.4388 0.5412  5 O 2.32-2.52
Na 0.4388 0.1136 0.9064  5 O 2.32-2.52
Na 0.7088 0.3436 0.1364  5 O 2.32-2.52
Na 0.3436 0.7088 0.8112  5 O 2.32-2.52
Na 0.7703 0.0571 0.9149  5 O 2.31-2.48
Na 0.0571 0.7703 0.2577  5 O 2.31-2.48
Na 0.3351 0.9923 0.4797  5 O 2.31-2.48
Na 0.9923 0.3351 0.1929  5 O 2.31-2.48
Be 0.9199 0.2261 0.7427  4 O 1.64-1.68
Be 0.2261 0.9199 0.1113  4 O 1.64-1.68
Be 0.5073 0.1387 0.3301  4 O 1.64-1.68
Be 0.1387 0.5073 0.0239  4 O 1.64-1.68
Be 0.6151 0.6151 0.3849  4 O 1.65-1.66
Be 0.8651 0.8651 0.6349  4 O 1.65-1.66
Ge 0.2505 0.2505 0.7495  4 O 1.74-1.81
Ge 0.5005 0.5005 0.9995  4 O 1.74-1.81
Ge 0.9050 0.9050 0.0950  4 O 1.74-1.82
Ge 0.1550 0.1550 0.3450  4 O 1.74-1.82
Ge 0.2849 0.5579 0.4160  4 O 1.73-1.81
Ge 0.5579 0.2849 0.7413  4 O 1.73-1.81
Ge 0.8340 0.5087 0.9651  4 O 1.73-1.81
Ge 0.5087 0.8340 0.6921  4 O 1.73-1.81
Ge 0.5858 0.9400 0.0462  4 O 1.74-1.83
Ge 0.9400 0.5858 0.4280  4 O 1.74-1.83
Ge 0.2038 0.8220 0.6642  4 O 1.74-1.83
Ge 0.8220 0.2038 0.3100  4 O 1.74-1.83
O 0.1455 0.7639 0.8361  2 Ge 1.82-1.83
O 0.7639 0.1455 0.2544  2 Ge 1.82-1.83
O 0.4139 0.9956 0.1045  2 Ge 1.82-1.83
O 0.9956 0.4139 0.4861  2 Ge 1.82-1.83
O 0.3282 0.3873 0.4575  1 Be 1.65, 1 Ge 1.74
O 0.3873 0.3282 0.8271  1 Be 1.65, 1 Ge 1.74
O 0.7925 0.4229 0.9218  1 Be 1.65, 1 Ge 1.74
O 0.4229 0.7925 0.8627  1 Be 1.65, 1 Ge 1.74
O 0.4853 0.4148 0.1440  2 Ge 1.80-1.81
O 0.4148 0.4853 0.9559  2 Ge 1.80-1.81
O 0.1060 0.2941 0.7647  2 Ge 1.80-1.81
O 0.2941 0.1060 0.8352  2 Ge 1.80-1.81
O 0.7992 0.6660 0.8924  2 Ge 1.80-1.81
O 0.6660 0.7992 0.6425  2 Ge 1.80-1.81
O 0.3576 0.6075 0.4508  2 Ge 1.80-1.81
O 0.6075 0.3576 0.5840  2 Ge 1.80-1.81
O 0.6646 0.9896 0.8812  1 Be 1.65, 1 Ge 1.74
O 0.9896 0.6646 0.4646  1 Be 1.65, 1 Ge 1.74
O 0.3688 0.7854 0.5854  1 Be 1.65, 1 Ge 1.74
O 0.7854 0.3688 0.2604  1 Be 1.65, 1 Ge 1.74
O 0.1319 0.0963 0.5013  1 Be 1.64, 1 Ge 1.74
O 0.0963 0.1319 0.2705  1 Be 1.64, 1 Ge 1.74
O 0.7487 0.9795 0.1181  1 Be 1.64, 1 Ge 1.74
O 0.9795 0.7487 0.1537  1 Be 1.64, 1 Ge 1.74
O 0.9740 0.0624 0.7896  1 Be 1.68, 1 Ge 1.74
O 0.0624 0.9740 0.1740  1 Be 1.68, 1 Ge 1.74
O 0.4604 0.0760 0.2760  1 Be 1.68, 1 Ge 1.74
O 0.0760 0.4604 0.1876  1 Be 1.68, 1 Ge 1.74
O 0.4772 0.1064 0.4917  1 Be 1.66, 1 Ge 1.74
O 0.1064 0.4772 0.9248  1 Be 1.66, 1 Ge 1.74
O 0.7583 0.3252 0.7728  1 Be 1.66, 1 Ge 1.74
O 0.3252 0.7583 0.1436  1 Be 1.66, 1 Ge 1.74
O 0.6778 0.6490 0.2138  1 Be 1.66, 1 Ge 1.73
O 0.6490 0.6778 0.4595  1 Be 1.66, 1 Ge 1.73
O 0.0362 0.7905 0.5722  1 Be 1.66, 1 Ge 1.73
O 0.7905 0.0362 0.6010  1 Be 1.66, 1 Ge 1.73

Calculated values
MP2020-corrected energy: -425.86 eV/cell
Formation enthalpy at 0 K: -2.333 eV per atom
VASP energy: -401.1 eV per cell

***

DFT (PBE) results for a relaxed Na2BeGe2O6 crystal.

Cell lengths 15.4710, 11.5246, 11.5036 Å; angles 84.42, 47.85, 47.73 degrees
Last column: nearest neighbours and their distance in Å.
Fractional positions:
Na 0.5596 0.7549 0.2727  5 O 2.29-2.48
Na 0.6081 0.0482 0.9435  4 O 2.25-2.52
Na 0.4963 0.6866 0.8304  5 O 2.27-2.50
Na 0.8948 0.1089 0.8877  6 O 2.43-2.69
Na 0.9382 0.4075 0.6123  5 O 2.32-2.51
Na 0.5066 0.9963 0.5048  4 O 2.30-2.40
Na 0.8416 0.3134 0.2147  5 O 2.31-2.55
Na 0.2622 0.7364 0.2512  4 O 2.29-2.46
Na 0.8379 0.9793 0.4887  5 O 2.31-2.54
Na 0.1363 0.3600 0.1410  6 O 2.39-2.63
Na 0.2625 0.4238 0.5630  5 O 2.31-2.53
Na 0.2026 0.6425 0.8543  4 O 2.31-2.41
Be 0.1142 0.8813 0.1154  4 O 1.62-1.75
Be 0.6493 0.5144 0.9959  4 O 1.62-1.70
Be 0.4215 0.2413 0.7281  4 O 1.57-1.69
Be 0.7342 0.6056 0.4087  4 O 1.59-1.71
Be 0.3651 0.1343 0.3607  4 O 1.58-1.67
Be 0.0096 0.8283 0.6398  4 O 1.58-1.74
Ge 0.7877 0.9119 0.0565  4 O 1.74-1.78
Ge 0.4021 0.5933 0.4075  4 O 1.74-1.79
Ge 0.6996 0.1714 0.3291  4 O 1.71-1.87
Ge 0.3216 0.8123 0.7076  4 O 1.75-1.87
Ge 0.3308 0.4711 0.0099  4 O 1.67-1.83
Ge 0.0877 0.5424 0.4377  4 O 1.69-1.81
Ge 0.7450 0.2551 0.7552  4 O 1.69-1.83
Ge 0.0171 0.1882 0.3244  4 O 1.69-1.86
Ge 0.6549 0.8485 0.6512  4 O 1.75-1.86
Ge 0.0533 0.2433 0.7887  4 O 1.73-1.84
Ge 0.4404 0.9291 0.0826  4 O 1.76-1.82
Ge 0.0020 0.5022 0.9939  4 O 1.73-1.80
O 0.4902 0.9643 0.1672  1 Be 1.58
O 0.4853 0.6452 0.2458  1 Be 1.70, 1 Ge 1.75
O 0.1613 0.3853 0.4895  1 Be 1.67, 1 Ge 1.69
O 0.2832 0.4293 0.9316  1 Be 1.67, 1 Ge 1.74
O 0.8285 0.9596 0.8868  1 Be 1.63, 1 Ge 1.77
O 0.4974 0.9801 0.9130  2 Ge 1.76-1.84
O 0.9758 0.9877 0.6037  1 Be 1.64, 1 Ge 1.78
O 0.1640 0.1369 0.3035  2 Ge 1.75-1.82
O 0.6442 0.3367 0.2592  2 Ge 1.79-1.86
O 0.2842 0.7546 0.8695  1 Be 1.64, 1 Ge 1.75
O 0.6268 0.0099 0.5991  1 Be 1.57, 1 Ge 1.75
O 0.2997 0.0934 0.5260  1 Be 1.66, 1 Ge 1.83
O 0.8268 0.6404 0.2570  1 Be 1.59, 1 Ge 1.78
O 0.2444 0.6224 0.4787  1 Be 1.58, 1 Ge 1.74
O 0.7914 0.3394 0.6066  2 Ge 1.83-1.86
O 0.9223 0.4515 0.9760  2 Ge 1.76-1.80
O 0.1512 0.9623 0.1755  1 Ge 1.69, 1 Be 1.75
O 0.9749 0.6507 0.9224  2 Ge 1.73-1.74
O 0.9308 0.3618 0.2829  1 Be 1.62, 1 Ge 1.76
O 0.5692 0.6594 0.4705  1 Be 1.71, 1 Ge 1.75
O 0.1153 0.0828 0.8601  2 Ge 1.77-1.84
O 0.4645 0.2999 0.5762  1 Be 1.66, 1 Ge 1.79
O 0.1778 0.7108 0.1514  1 Be 1.67, 1 Ge 1.67
O 0.2688 0.7544 0.6369  2 Ge 1.78-1.87
O 0.5972 0.7661 0.6324  1 Be 1.69, 1 Ge 1.79
O 0.5878 0.6759 0.9499  1 Be 1.66, 1 Ge 1.81
O 0.3074 0.3903 0.1620  2 Ge 1.81-1.83
O 0.9489 0.7796 0.5896  1 Be 1.74, 1 Ge 1.77
O 0.2576 0.2722 0.8257  1 Be 1.69, 1 Ge 1.74
O 0.8948 0.3150 0.8197  1 Be 1.63, 1 Ge 1.73
O 0.9189 0.6059 0.4914  2 Ge 1.76-1.86
O 0.5328 0.0727 0.2938  1 Be 1.67, 1 Ge 1.77
O 0.8718 0.0819 0.2819  1 Be 1.62, 1 Ge 1.71
O 0.5978 0.2759 0.7990  2 Ge 1.77-1.80
O 0.6115 0.4239 0.9706  1 Be 1.62, 1 Ge 1.69
O 0.8507 0.9488 0.1175  2 Ge 1.78-1.87

Calculated values
MP2020-corrected energy: -424.37 eV/cell
Formation enthalpy at 0 K: -2.310 eV per atom
VASP energy: -399.6 eV per cell

***

DFT (PBE) results for a relaxed BeGeO3 crystal.

Cell lengths 3.5049, 3.5049, 3.5049 Å; angles 90.00, 90.00, 90.00 degrees
Last column: nearest neighbours and their distance in Å.
Fractional positions:
Be 0.5000 0.5000 0.5000  6 O 1.75
Ge 0.0000 0.0000 0.0000  12 O 2.48
O 0.5000 0.5000 0.0000  2 Be 1.75
O 0.5000 0.0000 0.5000  2 Be 1.75
O 0.0000 0.5000 0.5000  2 Be 1.75

Calculated values
MP2020-corrected energy: -29.15 eV/cell
Formation enthalpy at 0 K: -1.188 eV per atom
VASP energy: -27.1 eV per cell

***

DFT (PBE) results for a relaxed Pr2Be2GeO7 crystal.

Cell lengths 7.6736, 7.6736, 4.9565 Å; angles 90.00, 90.00, 90.00 degrees
Last column: nearest neighbours and their distance in Å.
Fractional positions:
Pr 0.6599 0.8401 0.5040  8 O 2.40-2.68
Pr 0.1599 0.6599 0.4960  8 O 2.40-2.68
Pr 0.8401 0.3401 0.4960  8 O 2.40-2.68
Pr 0.3401 0.1599 0.5040  8 O 2.40-2.68
Be 0.3672 0.8672 0.0395  4 O 1.58-1.74
Be 0.8672 0.6328 0.9605  4 O 1.58-1.74
Be 0.6328 0.1328 0.0395  4 O 1.58-1.74
Be 0.1328 0.3672 0.9605  4 O 1.58-1.74
Ge 0.5000 0.5000 0.0000  4 O 1.77
Ge 0.0000 0.0000 0.0000  4 O 1.77
O 0.9225 0.8262 0.7974  1 Be 1.74, 1 Ge 1.77
O 0.1738 0.9225 0.2026  1 Be 1.74, 1 Ge 1.77
O 0.5775 0.3262 0.2026  1 Be 1.74, 1 Ge 1.77
O 0.4225 0.6738 0.2026  1 Be 1.74, 1 Ge 1.77
O 0.3262 0.4225 0.7974  1 Be 1.74, 1 Ge 1.77
O 0.6738 0.5775 0.7974  1 Be 1.74, 1 Ge 1.77
O 0.0000 0.5000 0.8297  2 Be 1.58
O 0.5000 0.0000 0.1703  2 Be 1.58
O 0.1414 0.3586 0.2805  1 Be 1.59
O 0.6414 0.1414 0.7195  1 Be 1.59
O 0.3586 0.8586 0.7195  1 Be 1.59
O 0.8586 0.6414 0.2805  1 Be 1.59
O 0.0775 0.1738 0.7974  1 Be 1.74, 1 Ge 1.77
O 0.8262 0.0775 0.2026  1 Be 1.74, 1 Ge 1.77

Calculated values
MP2020-corrected energy: -190.00 eV/cell
Formation enthalpy at 0 K: -3.225 eV per atom
Piezoelectric modulus e_max: 0.28 C/m2
VASP energy: -180.4 eV per cell

***

DFT (PBE) results for a relaxed BeGeRu2 crystal.

Cell lengths 4.1327, 4.1327, 4.1327 Å; angles 60.00, 60.00, 60.00 degrees
Last column: nearest neighbours and their distance in Å.
Fractional positions:
Be 0.5000 0.5000 0.5000  8 Ru 2.53
Ge 0.0000 0.0000 0.0000  8 Ru 2.53
Ru 0.2500 0.2500 0.2500  4 Be 2.53, 4 Ge 2.53
Ru 0.7500 0.7500 0.7500  4 Ge 2.53, 4 Be 2.53

Calculated values
Formation enthalpy at 0 K: -0.280 eV per atom
VASP energy: -28.0 eV per cell

***

DFT (PBE) results for a relaxed SrBeGe crystal.

Cell lengths 4.0738, 4.0738, 4.6411 Å; angles 90.00, 90.00, 120.00 degrees
Last column: nearest neighbours and their distance in Å.
Fractional positions:
Sr 0.6667 0.3333 0.5000  6 Be 3.30, 6 Ge 3.30
Be 0.0000 0.0000 0.0000  3 Ge 2.35
Ge 0.3333 0.6667 0.0000  3 Be 2.35

Calculated values
Formation enthalpy at 0 K: -0.347 eV per atom
VASP energy: -11.1 eV per cell